# 1
# GGA-PBE Mg7P2H8O16, optimized geometry
# Symmetry: P2_1/c
# Total moment in μB/atom: 0.000
data_Mg7P2H8O16
_space_group_name_H-M_alt 'P 1'
_space_group_IT_number 1
_cell_length_a 5.3190
_cell_length_b 11.7468
_cell_length_c 10.6015
_cell_angle_alpha 90.00
_cell_angle_beta 113.33
_cell_angle_gamma 90.00
loop_
_space_group_symop_operation_xyz
'x,y,z'
loop_
_atom_site_label
_atom_site_fract_x
_atom_site_fract_y
_atom_site_fract_z
Mg1 0.0000 0.0000 0.0000
Mg2 0.0000 0.5000 0.5000
Mg3 0.0500 0.1749 0.7891
Mg4 0.0500 0.3251 0.2891
Mg5 0.2525 0.7102 0.9944
Mg6 0.2525 0.7898 0.4944
Mg7 0.2528 0.0705 0.5039
Mg8 0.2528 0.4295 0.0039
Mg9 0.7472 0.5705 0.9961
Mg10 0.7472 0.9295 0.4961
Mg11 0.7475 0.2102 0.5056
Mg12 0.7475 0.2898 0.0056
Mg13 0.9500 0.6749 0.7109
Mg14 0.9500 0.8251 0.2109
P1 0.3173 0.5805 0.2880
P2 0.3173 0.9195 0.7880
P3 0.6827 0.0805 0.2120
P4 0.6827 0.4195 0.7120
H1 0.2570 0.2474 0.1240
H2 0.2570 0.2526 0.6240
H3 0.3006 0.5237 0.8042
H4 0.3006 0.9763 0.3042
H5 0.3256 0.1636 0.3076
H6 0.3256 0.3364 0.8076
H7 0.3427 0.6278 0.6494
H8 0.3427 0.8722 0.1494
H9 0.6573 0.1278 0.8506
H10 0.6573 0.3722 0.3506
H11 0.6744 0.6636 0.1924
H12 0.6744 0.8364 0.6924
H13 0.6994 0.0237 0.6958
H14 0.6994 0.4763 0.1958
H15 0.7430 0.7474 0.3760
H16 0.7430 0.7526 0.8760
O1 0.1596 0.1819 0.6237
O2 0.1596 0.3181 0.1237
O3 0.1608 0.6529 0.5875
O4 0.1608 0.8471 0.0875
O5 0.1858 0.5702 0.1250
O6 0.1858 0.9298 0.6250
O7 0.2009 0.0134 0.8533
O8 0.2009 0.4866 0.3533
O9 0.2434 0.6992 0.3260
O10 0.2434 0.8008 0.8260
O11 0.3176 0.5625 0.8892
O12 0.3176 0.9375 0.3892
O13 0.3345 0.2037 0.3909
O14 0.3345 0.2963 0.8909
O15 0.3671 0.0693 0.1652
O16 0.3671 0.4307 0.6652
O17 0.6329 0.5693 0.3348
O18 0.6329 0.9307 0.8348
O19 0.6655 0.7037 0.1091
O20 0.6655 0.7963 0.6091
O21 0.6824 0.0625 0.6108
O22 0.6824 0.4375 0.1108
O23 0.7566 0.1992 0.1740
O24 0.7566 0.3008 0.6740
O25 0.7991 0.5134 0.6467
O26 0.7991 0.9866 0.1467
O27 0.8142 0.0702 0.3750
O28 0.8142 0.4298 0.8750
O29 0.8392 0.1529 0.9125
O30 0.8392 0.3471 0.4125
O31 0.8404 0.6819 0.8763
O32 0.8404 0.8181 0.3763

=====

# 2
# GGA-PBE LiCuF4, optimized geometry
# Symmetry: Cm
# Total moment in μB/atom: 0.004
data_LiCuF4
_space_group_name_H-M_alt 'P 1'
_space_group_IT_number 1
_cell_length_a 7.7117
_cell_length_b 7.7117
_cell_length_c 12.1917
_cell_angle_alpha 119.87
_cell_angle_beta 119.87
_cell_angle_gamma 28.91
loop_
_space_group_symop_operation_xyz
'x,y,z'
loop_
_atom_site_label
_atom_site_fract_x
_atom_site_fract_y
_atom_site_fract_z
Li1 0.0000 0.0000 0.0000
Li2 0.3925 0.3925 0.3342
Li3 0.5397 0.5397 0.8289
Li4 0.8516 0.8516 0.5092
Cu1 0.0565 0.0565 0.5279
Cu2 0.1592 0.1592 0.2995
Cu3 0.2302 0.2302 0.0344
Cu4 0.3320 0.3320 0.8061
F1 0.0001 0.0001 0.6346
F2 0.0240 0.0240 0.1696
F3 0.0865 0.0865 0.9075
F4 0.1161 0.1161 0.4246
F5 0.1947 0.1947 0.6660
F6 0.1965 0.1965 0.1681
F7 0.2676 0.2676 0.9047
F8 0.3010 0.3010 0.4282
F9 0.3658 0.3658 0.1621
F10 0.3902 0.3902 0.7010
F11 0.4742 0.4742 0.9500
F12 0.5427 0.5427 0.5105
F13 0.6689 0.6689 0.3090
F14 0.7157 0.7157 0.0205
F15 0.8460 0.8460 0.8229
F16 0.9135 0.9135 0.3854

=====

# 3
# GGA-PBE ZrFeSi, optimized geometry
# Symmetry: Pnma
data_ZrFeSi
_space_group_name_H-M_alt 'P 1'
_space_group_IT_number 1
_cell_length_a 6.4244
_cell_length_b 3.9906
_cell_length_c 6.9988
_cell_angle_alpha 90.00
_cell_angle_beta 90.00
_cell_angle_gamma 90.00
loop_
_space_group_symop_operation_xyz
'x,y,z'
loop_
_atom_site_label
_atom_site_fract_x
_atom_site_fract_y
_atom_site_fract_z
Zr1 0.0052 0.2500 0.1974
Zr2 0.4948 0.7500 0.6974
Zr3 0.5052 0.2500 0.3026
Zr4 0.9948 0.7500 0.8026
Fe1 0.1550 0.7500 0.4375
Fe2 0.3450 0.2500 0.9375
Fe3 0.6550 0.7500 0.0625
Fe4 0.8450 0.2500 0.5625
Si1 0.2088 0.2500 0.6066
Si2 0.2912 0.7500 0.1066
Si3 0.7088 0.2500 0.8934
Si4 0.7912 0.7500 0.3934

=====

# 4
# GGA-PBE Na4Sc3NbP6O24, optimized geometry
# Symmetry: P1
# Total moment in μB/atom: 0.000
data_Na4Sc3NbP6O24
_space_group_name_H-M_alt 'P 1'
_space_group_IT_number 1
_cell_length_a 8.9222
_cell_length_b 8.9275
_cell_length_c 22.7903
_cell_angle_alpha 90.03
_cell_angle_beta 90.06
_cell_angle_gamma 119.97
loop_
_space_group_symop_operation_xyz
'x,y,z'
loop_
_atom_site_label
_atom_site_fract_x
_atom_site_fract_y
_atom_site_fract_z
Na1 0.0000 0.0000 0.0000
Na2 0.0000 0.0004 0.4928
Na3 0.0023 0.3688 0.2505
Na4 0.0297 0.3335 0.9156
Na5 0.3035 0.9699 0.9159
Na6 0.3238 0.6567 0.8274
Na7 0.3343 0.6787 0.3320
Na8 0.6307 0.9995 0.7469
Na9 0.6335 0.6325 0.2506
Na10 0.6578 0.3237 0.1626
Na11 0.6666 0.6966 0.9160
Na12 0.6676 0.3435 0.6616
Sc1 0.0018 0.9996 0.3536
Sc2 0.0026 0.0008 0.8473
Sc3 0.3274 0.6604 0.6831
Sc4 0.3337 0.6671 0.9853
Sc5 0.3340 0.6734 0.1815
Sc6 0.6592 0.3252 0.3168
Sc7 0.6670 0.3332 0.5170
Sc8 0.6675 0.3343 0.0193
Sc9 0.6674 0.3408 0.8104
Nb1 0.0018 0.9997 0.6426
Nb2 0.0022 0.0008 0.1447
Nb3 0.3332 0.6658 0.4783
P1 0.0019 0.2924 0.7486
P2 0.0018 0.7104 0.2492
P3 0.0377 0.3717 0.0830
P4 0.0430 0.6653 0.5825
P5 0.2914 0.2904 0.2487
P6 0.2925 0.9996 0.7483
P7 0.3349 0.3776 0.5828
P8 0.3345 0.9633 0.0816
P9 0.3741 0.0408 0.4172
P10 0.3753 0.3344 0.9154
P11 0.6226 0.9572 0.5839
P12 0.6287 0.6663 0.0832
P13 0.6662 0.0410 0.9141
P14 0.6671 0.6260 0.4157
P15 0.7092 0.7092 0.7477
P16 0.7102 0.9997 0.2489
P17 0.9590 0.3332 0.4155
P18 0.9591 0.6251 0.9153
O1 0.0218 0.1877 0.0906
O2 0.0242 0.2109 0.8056
O3 0.0260 0.8211 0.3028
O4 0.0301 0.8360 0.5893
O5 0.1250 0.4788 0.1381
O6 0.1284 0.6441 0.6370
O7 0.1427 0.6456 0.9215
O8 0.1443 0.5013 0.4252
O9 0.1470 0.4480 0.0266
O10 0.1577 0.6825 0.2419
O11 0.1613 0.4709 0.7424
O12 0.1605 0.6947 0.5279
O13 0.1644 0.1944 0.5897
O14 0.1664 0.9785 0.0906
O15 0.1748 0.2066 0.3015
O16 0.1884 0.9760 0.8050
O17 0.1911 0.0132 0.4107
O18 0.1912 0.0179 0.6948
O19 0.1911 0.1719 0.9095
O20 0.1957 0.1745 0.1933
O21 0.2997 0.8562 0.0245
O22 0.3046 0.4655 0.5281
O23 0.3088 0.4716 0.2408
O24 0.3157 0.8407 0.7421
O25 0.3539 0.4969 0.9216
O26 0.3555 0.8719 0.1349
O27 0.3570 0.4851 0.6371
O28 0.3566 0.8553 0.4258
O29 0.4577 0.3015 0.9693
O30 0.4609 0.1502 0.4710
O31 0.4734 0.1633 0.7503
O32 0.4733 0.3115 0.2514
O33 0.4852 0.1153 0.3611
O34 0.4892 0.3507 0.5750
O35 0.4900 0.3666 0.8609
O36 0.4908 0.1447 0.0769
O37 0.4991 0.6438 0.4254
O38 0.5035 0.8576 0.9211
O39 0.5213 0.6462 0.1382
O40 0.5209 0.8762 0.6400
O41 0.5313 0.8371 0.5299
O42 0.5335 0.7006 0.7413
O43 0.5326 0.8357 0.2408
O44 0.5527 0.6999 0.0268
O45 0.6315 0.5198 0.3579
O46 0.6352 0.1194 0.8578
O47 0.6498 0.1385 0.5756
O48 0.6535 0.5096 0.0775
O49 0.6880 0.5356 0.4687
O50 0.6964 0.5320 0.7501
O51 0.6979 0.1588 0.9673
O52 0.7034 0.1688 0.2514
O53 0.7891 0.8177 0.8043
O54 0.7949 0.9690 0.3021
O55 0.8068 0.9706 0.5897
O56 0.8127 0.8343 0.0911
O57 0.8220 0.8096 0.4104
O58 0.8289 0.0189 0.9094
O59 0.8293 0.0236 0.1937
O60 0.8292 0.8106 0.6943
O61 0.8300 0.2953 0.7505
O62 0.8330 0.5310 0.2509
O63 0.8437 0.5431 0.9692
O64 0.8475 0.3119 0.4686
O65 0.8559 0.3464 0.0774
O66 0.8614 0.5116 0.5750
O67 0.8765 0.5103 0.8608
O68 0.8876 0.3680 0.3578
O69 0.9790 0.8061 0.1941
O70 0.9796 0.1696 0.6953
O71 0.9807 0.8092 0.9093
O72 0.9875 0.1781 0.4101

=====

# 5
# GGA-PBE ZnCr2S4, optimized geometry
# Energy relative to the lowest polymorph listed for this composition in meV/atom: 0.0
# Symmetry: Fd-3m
data_ZnCr2S4
_space_group_name_H-M_alt 'P 1'
_space_group_IT_number 1
_cell_length_a 7.1017
_cell_length_b 7.1017
_cell_length_c 7.1017
_cell_angle_alpha 60.00
_cell_angle_beta 60.00
_cell_angle_gamma 60.00
loop_
_space_group_symop_operation_xyz
'x,y,z'
loop_
_atom_site_label
_atom_site_fract_x
_atom_site_fract_y
_atom_site_fract_z
Zn1 0.1250 0.1250 0.1250
Zn2 0.8750 0.8750 0.8750
Cr1 0.0000 0.5000 0.5000
Cr2 0.5000 0.0000 0.5000
Cr3 0.5000 0.5000 0.0000
Cr4 0.5000 0.5000 0.5000
S1 0.2605 0.2605 0.2605
S2 0.2605 0.2605 0.7184
S3 0.2605 0.7184 0.2605
S4 0.2816 0.7395 0.7395
S5 0.7184 0.2605 0.2605
S6 0.7395 0.2816 0.7395
S7 0.7395 0.7395 0.2816
S8 0.7395 0.7395 0.7395

=====

# 6
# GGA-PBE Al2O3, optimized geometry
# Symmetry: P1
# Total moment in μB/atom: 0.000
data_Al2O3
_space_group_name_H-M_alt 'P 1'
_space_group_IT_number 1
_cell_length_a 10.1830
_cell_length_b 10.5051
_cell_length_c 10.5788
_cell_angle_alpha 91.04
_cell_angle_beta 95.25
_cell_angle_gamma 90.43
loop_
_space_group_symop_operation_xyz
'x,y,z'
loop_
_atom_site_label
_atom_site_fract_x
_atom_site_fract_y
_atom_site_fract_z
Al1 0.0000 0.0000 0.0000
Al2 0.0031 0.2644 0.8213
Al3 0.0228 0.0838 0.5658
Al4 0.0447 0.9921 0.3235
Al5 0.0508 0.7231 0.1610
Al6 0.0638 0.3784 0.5268
Al7 0.0747 0.7751 0.4769
Al8 0.1661 0.2473 0.0360
Al9 0.1760 0.8503 0.7532
Al10 0.2409 0.2246 0.4159
Al11 0.2579 0.3027 0.7117
Al12 0.2657 0.9743 0.9626
Al13 0.2828 0.5858 0.5729
Al14 0.2982 0.3954 0.2223
Al15 0.3039 0.0128 0.2243
Al16 0.3235 0.9619 0.5155
Al17 0.3259 0.7216 0.3134
Al18 0.3359 0.7526 0.0453
Al19 0.4286 0.0768 0.7673
Al20 0.4507 0.7398 0.6757
Al21 0.4573 0.1829 0.0642
Al22 0.5065 0.1799 0.3772
Al23 0.5279 0.6023 0.2080
Al24 0.5750 0.3202 0.8338
Al25 0.6146 0.7062 0.9530
Al26 0.6251 0.5121 0.5942
Al27 0.6250 0.8815 0.3484
Al28 0.6305 0.9399 0.5919
Al29 0.6824 0.3247 0.1501
Al30 0.7117 0.9335 0.8452
Al31 0.7640 0.3796 0.4060
Al32 0.7848 0.5246 0.8176
Al33 0.7938 0.6443 0.3737
Al34 0.8037 0.2929 0.6666
Al35 0.8085 0.2002 0.9789
Al36 0.8090 0.5488 0.1226
Al37 0.8106 0.8644 0.1315
Al38 0.8173 0.1098 0.2586
Al39 0.8505 0.7553 0.6132
Al40 0.9851 0.3964 0.2354
O1 0.0291 0.8070 0.6528
O2 0.0397 0.8201 0.3072
O3 0.1060 0.9725 0.8652
O4 0.1237 0.3721 0.3803
O5 0.1284 0.3619 0.1518
O6 0.1322 0.9548 0.5031
O7 0.1519 0.2202 0.5745
O8 0.1746 0.2866 0.8487
O9 0.1784 0.1018 0.3090
O10 0.1849 0.0767 0.0735
O11 0.2044 0.4483 0.6302
O12 0.2173 0.6697 0.4369
O13 0.2242 0.7119 0.1579
O14 0.2720 0.8063 0.8985
O15 0.2760 0.7199 0.6771
O16 0.2970 0.9812 0.6957
O17 0.3143 0.8945 0.3512
O18 0.3344 0.2999 0.0834
O19 0.3558 0.9091 0.1030
O20 0.3711 0.3093 0.3549
O21 0.3753 0.5468 0.2577
O22 0.3776 0.1231 0.4901
O23 0.4010 0.0794 0.9308
O24 0.4230 0.2526 0.7458
O25 0.4508 0.1098 0.2196
O26 0.4594 0.5850 0.5909
O27 0.4703 0.8604 0.5650
O28 0.4831 0.6637 0.0459
O29 0.5086 0.7513 0.2943
O30 0.5603 0.2989 0.9976
O31 0.5612 0.7585 0.8037
O32 0.5864 0.0217 0.7437
O33 0.6066 0.0300 0.4458
O34 0.6167 0.4679 0.7732
O35 0.6348 0.2793 0.3143
O36 0.6408 0.4915 0.1638
O37 0.6631 0.3388 0.5660
O38 0.6732 0.5381 0.4349
O39 0.6900 0.8555 0.9948
O40 0.7173 0.1579 0.1112
O41 0.7226 0.7996 0.4716
O42 0.7272 0.2403 0.8189
O43 0.7282 0.9537 0.2470
O44 0.7570 0.6053 0.9604
O45 0.7711 0.8840 0.6957
O46 0.7732 0.6148 0.6762
O47 0.7733 0.7088 0.2094
O48 0.8273 0.3738 0.0687
O49 0.8360 0.0327 0.9248
O50 0.8592 0.4937 0.3096
O51 0.8774 0.2692 0.2923
O52 0.8981 0.3646 0.5388
O53 0.9049 0.4028 0.7878
O54 0.9240 0.0621 0.4206
O55 0.9335 0.6748 0.4824
O56 0.9377 0.1667 0.6869
O57 0.9450 0.0268 0.1733
O58 0.9663 0.8291 0.0518
O59 0.9872 0.5694 0.1430
O60 0.9915 0.2052 0.9739

=====

Number 1: electronic total energy -5.989 eV/atom, ΔE_f -2.43 eV per atom. Number 2: electronic total energy -4.128 eV/atom, ΔE_f -2.16 eV per atom. Number 3: electronic total energy -8.236 eV/atom, ΔE_f -0.73 eV per atom. Number 4: electronic total energy -7.487 eV/atom, ΔE_f -3.04 eV per atom. Number 5: electronic total energy -6.062 eV/atom, ΔE_f -1.05 eV per atom. Number 6: electronic total energy -7.260 eV/atom, ΔE_f -3.20 eV per atom.